Record 1
! Na2CaMnAl2P2H2O10F4 | Materials Project | r2SCAN | optimized geometry; values from VASP
&SYSTEM
  ibrav = 0, nat = 48, ntyp = 8
/
ATOMIC_SPECIES
H 1.01 H.upf
P 30.97 P.upf
Al 26.98 Al.upf
O 16.00 O.upf
Na 22.99 Na.upf
F 19.00 F.upf
Mn 54.94 Mn.upf
Ca 40.08 Ca.upf
CELL_PARAMETERS angstrom
-0.8644 -5.8169 4.1009
8.7538 0.5460 -1.5616
3.7168 2.0468 7.9318
ATOMIC_POSITIONS crystal
H 0.7622 0.7780 0.9720
P 0.6305 0.4179 0.8224
Al 0.0000 0.0000 0.0000
O 0.0850 0.1769 0.0742
O 0.5167 0.5202 0.2534
O 0.2459 0.4418 0.1336
Na 0.9546 0.6239 0.1376
F 0.8560 0.3543 0.1439
Na 0.0454 0.3761 0.8624
Mn 0.5000 0.5000 0.5000
O 0.5167 0.0202 0.7534
F 0.1646 0.9028 0.0853
F 0.1440 0.6457 0.8561
Ca 0.5000 0.2500 0.2500
Na 0.9546 0.1239 0.6376
O 0.5083 0.7594 0.4799
F 0.1440 0.1457 0.3561
O 0.9150 0.3231 0.4258
O 0.7541 0.0582 0.3664
F 0.1646 0.4028 0.5853
F 0.8560 0.8543 0.6439
F 0.8354 0.0972 0.9147
O 0.2177 0.6243 0.3002
P 0.3695 0.0821 0.6776
O 0.4917 0.2406 0.5201
O 0.7823 0.8757 0.1998
P 0.3695 0.5821 0.1776
H 0.2378 0.2220 0.0280
H 0.2378 0.7220 0.5280
Mn 0.5000 0.0000 0.0000
F 0.8354 0.5972 0.4147
Al 0.0000 0.7500 0.7500
O 0.9150 0.8231 0.9258
O 0.5083 0.2594 0.9799
O 0.4833 0.4798 0.7466
Al 0.0000 0.2500 0.2500
O 0.0850 0.6769 0.5742
Na 0.0454 0.8761 0.3624
O 0.7541 0.5582 0.8664
Ca 0.5000 0.7500 0.7500
O 0.4833 0.9798 0.2466
H 0.7622 0.2780 0.4720
Al 0.0000 0.5000 0.5000
P 0.6305 0.9179 0.3224
O 0.7823 0.3757 0.6998
O 0.2459 0.9418 0.6336
O 0.4917 0.7406 0.0201
O 0.2177 0.1243 0.8002
! Energy of formation from the pure elements, eV per atom: -2.83

=====

Record 2
! CaAl2Ge2 | Materials Project | r2SCAN | optimized geometry; values from VASP
&SYSTEM
  ibrav = 0, nat = 5, ntyp = 3
/
ATOMIC_SPECIES
Ca 40.08 Ca.upf
Al 26.98 Al.upf
Ge 72.64 Ge.upf
CELL_PARAMETERS angstrom
4.1697 0.0000 0.0000
-2.0848 3.6110 0.0000
0.0000 0.0000 7.1537
ATOMIC_POSITIONS crystal
Ca 0.0000 0.0000 0.0000
Al 0.3333 0.6667 0.6278
Al 0.6667 0.3333 0.3722
Ge 0.3333 0.6667 0.2620
Ge 0.6667 0.3333 0.7380
! Energy of formation from the pure elements, eV per atom: -0.48

=====

Record 3
! Ca3Al2Ge3 | Materials Project | r2SCAN | optimized geometry; values from VASP
&SYSTEM
  ibrav = 0, nat = 32, ntyp = 3
/
ATOMIC_SPECIES
Ca 40.08 Ca.upf
Al 26.98 Al.upf
Ge 72.64 Ge.upf
CELL_PARAMETERS angstrom
11.3921 0.0000 0.0000
0.0000 4.3363 0.0000
0.0000 0.0000 14.7804
ATOMIC_POSITIONS crystal
Ca 0.1057 0.2500 0.0622
Ca 0.1057 0.7500 0.4337
Ca 0.1225 0.2500 0.7970
Ca 0.3775 0.7500 0.2970
Ca 0.3943 0.2500 0.9337
Ca 0.3943 0.7500 0.5622
Ca 0.6057 0.2500 0.4378
Ca 0.6057 0.7500 0.0663
Ca 0.6225 0.2500 0.7030
Ca 0.8775 0.7500 0.2030
Ca 0.8943 0.2500 0.5663
Ca 0.8943 0.7500 0.9378
Al 0.1386 0.2500 0.2906
Al 0.1842 0.2500 0.5890
Al 0.3158 0.7500 0.0890
Al 0.3614 0.7500 0.7906
Al 0.6386 0.2500 0.2094
Al 0.6842 0.2500 0.9110
Al 0.8158 0.7500 0.4110
Al 0.8614 0.7500 0.7094
Ge 0.0711 0.7500 0.6366
Ge 0.1405 0.7500 0.2008
Ge 0.2008 0.7500 0.9339
Ge 0.2992 0.2500 0.4339
Ge 0.3595 0.2500 0.7008
Ge 0.4289 0.2500 0.1366
Ge 0.5711 0.7500 0.8634
Ge 0.6405 0.7500 0.2992
Ge 0.7008 0.7500 0.5661
Ge 0.7992 0.2500 0.0661
Ge 0.8595 0.2500 0.7992
Ge 0.9289 0.2500 0.3634
! Energy of formation from the pure elements, eV per atom: -0.62

=====

Record 4
! Ca3AlN3 | Materials Project | r2SCAN | optimized geometry; values from VASP
&SYSTEM
  ibrav = 0, nat = 28, ntyp = 3
/
ATOMIC_SPECIES
Ca 40.08 Ca.upf
Al 26.98 Al.upf
N 14.01 N.upf
CELL_PARAMETERS angstrom
6.8631 0.0000 0.0000
0.0000 6.1128 0.0000
-0.6497 0.0000 9.7610
ATOMIC_POSITIONS crystal
Ca 0.0754 0.1418 0.1497
Ca 0.0754 0.3582 0.6497
Ca 0.3532 0.7175 0.8049
Ca 0.3532 0.7825 0.3049
Ca 0.3728 0.2072 0.9238
Ca 0.3728 0.2928 0.4238
Ca 0.6272 0.7072 0.5762
Ca 0.6272 0.7928 0.0762
Ca 0.6468 0.2175 0.6951
Ca 0.6468 0.2825 0.1951
Ca 0.9246 0.6418 0.3503
Ca 0.9246 0.8582 0.8503
Al 0.1597 0.5904 0.0602
Al 0.1597 0.9096 0.5602
Al 0.8403 0.0904 0.4398
Al 0.8403 0.4096 0.9398
N 0.1033 0.0385 0.3827
N 0.1033 0.4615 0.8827
N 0.2583 0.6250 0.5294
N 0.2583 0.8750 0.0294
N 0.3386 0.0680 0.6764
N 0.3386 0.4320 0.1764
N 0.6614 0.5680 0.8236
N 0.6614 0.9320 0.3236
N 0.7417 0.1250 0.9706
N 0.7417 0.3750 0.4706
N 0.8967 0.5385 0.1173
N 0.8967 0.9615 0.6173
! Energy of formation from the pure elements, eV per atom: -1.23

=====

Record 5
! Ca2NbAlO6 | Materials Project | r2SCAN | optimized geometry; values from VASP
&SYSTEM
  ibrav = 0, nat = 10, ntyp = 4
/
ATOMIC_SPECIES
Ca 40.08 Ca.upf
Nb 92.91 Nb.upf
Al 26.98 Al.upf
O 16.00 O.upf
CELL_PARAMETERS angstrom
0.0000 3.8521 3.8521
3.8521 0.0000 3.8521
3.8521 3.8521 0.0000
ATOMIC_POSITIONS crystal
Ca 0.2500 0.2500 0.2500
Ca 0.7500 0.7500 0.7500
Nb 0.0000 0.0000 0.0000
Al 0.5000 0.5000 0.5000
O 0.2571 0.2571 0.7429
O 0.2571 0.7429 0.2571
O 0.2571 0.7429 0.7429
O 0.7429 0.2571 0.2571
O 0.7429 0.2571 0.7429
O 0.7429 0.7429 0.2571
! Energy of formation from the pure elements, eV per atom: -3.19

=====

Record 6
! CaAl2O4 | Materials Project | r2SCAN | optimized geometry; values from VASP
&SYSTEM
  ibrav = 0, nat = 84, ntyp = 3
/
ATOMIC_SPECIES
Ca 40.08 Ca.upf
Al 26.98 Al.upf
O 16.00 O.upf
CELL_PARAMETERS angstrom
8.6931 0.0000 0.0000
0.0000 8.1097 0.0000
-8.6384 0.0000 15.1945
ATOMIC_POSITIONS crystal
Ca 0.0083 0.0342 0.2469
Ca 0.0083 0.4658 0.7469
Ca 0.3028 0.5321 0.5709
Ca 0.3028 0.9679 0.0709
Ca 0.3498 0.5357 0.0895
Ca 0.3498 0.9643 0.5895
Ca 0.6502 0.0357 0.4105
Ca 0.6502 0.4643 0.9105
Ca 0.6972 0.0321 0.9291
Ca 0.6972 0.4679 0.4291
Ca 0.9917 0.5342 0.2531
Ca 0.9917 0.9658 0.7531
Al 0.0211 0.6694 0.9219
Al 0.0211 0.8306 0.4219
Al 0.0320 0.2201 0.4196
Al 0.0320 0.2799 0.9196
Al 0.3137 0.2249 0.2328
Al 0.3137 0.2751 0.7328
Al 0.3138 0.6708 0.7382
Al 0.3138 0.8292 0.2382
Al 0.3445 0.7271 0.4086
Al 0.3445 0.7729 0.9086
Al 0.3465 0.1644 0.9076
Al 0.3465 0.3356 0.4076
Al 0.6535 0.6644 0.5924
Al 0.6535 0.8356 0.0924
Al 0.6555 0.2271 0.0914
Al 0.6555 0.2729 0.5914
Al 0.6862 0.1708 0.7618
Al 0.6862 0.3292 0.2618
Al 0.6863 0.7249 0.2672
Al 0.6863 0.7751 0.7672
Al 0.9680 0.7201 0.0804
Al 0.9680 0.7799 0.5804
Al 0.9789 0.1694 0.5781
Al 0.9789 0.3306 0.0781
O 0.0912 0.7420 0.5266
O 0.0912 0.7580 0.0266
O 0.1106 0.7270 0.1953
O 0.1106 0.7730 0.6953
O 0.1132 0.7263 0.3662
O 0.1132 0.7737 0.8662
O 0.1255 0.0235 0.4456
O 0.1255 0.4765 0.9456
O 0.2088 0.1420 0.9538
O 0.2093 0.1445 0.6412
O 0.2093 0.3555 0.1412
O 0.2088 0.3580 0.4538
O 0.2248 0.2444 0.3037
O 0.2248 0.2556 0.8037
O 0.2537 0.0254 0.1881
O 0.2537 0.4746 0.6881
O 0.4052 0.5324 0.3889
O 0.4052 0.9676 0.8889
O 0.4055 0.6343 0.8513
O 0.4055 0.8657 0.3513
O 0.4470 0.7407 0.0237
O 0.4470 0.7593 0.5237
O 0.4549 0.7462 0.2031
O 0.4549 0.7538 0.7031
O 0.5451 0.2462 0.2969
O 0.5451 0.2538 0.7969
O 0.5530 0.2407 0.4763
O 0.5530 0.2593 0.9763
O 0.5945 0.1343 0.6487
O 0.5945 0.3657 0.1487
O 0.5948 0.0324 0.1111
O 0.5948 0.4676 0.6111
O 0.7463 0.5254 0.3119
O 0.7463 0.9746 0.8119
O 0.7752 0.7444 0.1963
O 0.7752 0.7556 0.6963
O 0.7912 0.6420 0.5462
O 0.7907 0.6445 0.8588
O 0.7907 0.8555 0.3588
O 0.7912 0.8580 0.0462
O 0.8745 0.5235 0.0544
O 0.8745 0.9765 0.5544
O 0.8868 0.2263 0.1338
O 0.8868 0.2737 0.6338
O 0.8894 0.2270 0.3047
O 0.8894 0.2730 0.8047
O 0.9088 0.2420 0.9734
O 0.9088 0.2580 0.4734
! Energy of formation from the pure elements, eV per atom: -3.35
! E above lowest polymorph, meV/atom: 12

=====

Record 7
! Ca4Al6O13 | Materials Project | r2SCAN | optimized geometry; values from VASP
&SYSTEM
  ibrav = 0, nat = 23, ntyp = 3
/
ATOMIC_SPECIES
Ca 40.08 Ca.upf
Al 26.98 Al.upf
O 16.00 O.upf
CELL_PARAMETERS angstrom
-4.4020 4.4020 4.4020
4.4020 -4.4020 4.4020
4.4020 4.4020 -4.4020
ATOMIC_POSITIONS crystal
Ca 0.0000 0.0000 0.6919
Ca 0.0000 0.6919 0.0000
Ca 0.3081 0.3081 0.3081
Ca 0.6919 0.0000 0.0000
Al 0.2500 0.5000 0.7500
Al 0.2500 0.7500 0.5000
Al 0.5000 0.2500 0.7500
Al 0.5000 0.7500 0.2500
Al 0.7500 0.2500 0.5000
Al 0.7500 0.5000 0.2500
O 0.0000 0.0000 0.0000
O 0.0000 0.4492 0.7290
O 0.0000 0.7290 0.4492
O 0.2710 0.2710 0.7202
O 0.2710 0.7202 0.2710
O 0.2798 0.5508 0.5508
O 0.4492 0.0000 0.7290
O 0.4492 0.7290 0.0000
O 0.5508 0.2798 0.5508
O 0.5508 0.5508 0.2798
O 0.7202 0.2710 0.2710
O 0.7290 0.0000 0.4492
O 0.7290 0.4492 0.0000
! Energy of formation from the pure elements, eV per atom: -3.31

=====

Record 8
! CaAl2O4 | Materials Project | r2SCAN | optimized geometry; values from VASP
&SYSTEM
  ibrav = 0, nat = 14, ntyp = 3
/
ATOMIC_SPECIES
Ca 40.08 Ca.upf
Al 26.98 Al.upf
O 16.00 O.upf
CELL_PARAMETERS angstrom
5.5604 0.0000 0.0000
0.0000 3.7569 0.0000
-1.3751 0.0000 6.9242
ATOMIC_POSITIONS crystal
Ca 0.2315 0.2500 0.4281
Ca 0.7685 0.7500 0.5719
Al 0.1552 0.7500 0.1122
Al 0.3471 0.2500 0.8714
Al 0.6529 0.7500 0.1286
Al 0.8448 0.2500 0.8878
O 0.0436 0.2500 0.6977
O 0.1431 0.2500 0.0742
O 0.3582 0.7500 0.9286
O 0.4419 0.7500 0.3059
O 0.5581 0.2500 0.6941
O 0.6418 0.2500 0.0714
O 0.8569 0.7500 0.9258
O 0.9564 0.7500 0.3023
! Energy of formation from the pure elements, eV per atom: -3.36
! E above lowest polymorph, meV/atom: 0

=====

Record 9
! Ca2AlP3Pt7 | Materials Project | r2SCAN | optimized geometry; values from VASP
&SYSTEM
  ibrav = 0, nat = 13, ntyp = 4
/
ATOMIC_SPECIES
Ca 40.08 Ca.upf
Al 26.98 Al.upf
P 30.97 P.upf
Pt 195.08 Pt.upf
CELL_PARAMETERS angstrom
-2.0045 2.0045 13.5071
2.0045 -2.0045 13.5071
2.0045 2.0045 -13.5071
ATOMIC_POSITIONS crystal
Ca 0.1661 0.1661 0.0000
Ca 0.8339 0.8339 0.0000
Al 0.0000 0.0000 0.0000
P 0.3782 0.3782 0.0000
P 0.6218 0.6218 0.0000
P 0.7500 0.2500 0.5000
Pt 0.0730 0.5730 0.5000
Pt 0.2937 0.2937 0.0000
Pt 0.4270 0.9270 0.5000
Pt 0.5000 0.5000 0.0000
Pt 0.5711 0.0711 0.5000
Pt 0.7063 0.7063 0.0000
Pt 0.9289 0.4289 0.5000
! Energy of formation from the pure elements, eV per atom: -1.01

=====

Record 10
! CaAlPd | Materials Project | r2SCAN | optimized geometry; values from VASP
&SYSTEM
  ibrav = 0, nat = 12, ntyp = 3
/
ATOMIC_SPECIES
Ca 40.08 Ca.upf
Al 26.98 Al.upf
Pd 106.42 Pd.upf
CELL_PARAMETERS angstrom
5.7104 0.0000 0.0000
0.0000 7.8709 0.0000
0.0000 0.0000 5.5780
ATOMIC_POSITIONS crystal
Ca 0.1367 0.0997 0.2500
Ca 0.1367 0.4003 0.7500
Ca 0.8633 0.5997 0.2500
Ca 0.8633 0.9003 0.7500
Al 0.3959 0.7500 0.0000
Al 0.3959 0.7500 0.5000
Al 0.6041 0.2500 0.0000
Al 0.6041 0.2500 0.5000
Pd 0.3731 0.0239 0.7500
Pd 0.3731 0.4761 0.2500
Pd 0.6269 0.5239 0.7500
Pd 0.6269 0.9761 0.2500
! Energy of formation from the pure elements, eV per atom: -0.75

=====

Record 11
! Ca2AlPd2 | Materials Project | r2SCAN | optimized geometry; values from VASP
&SYSTEM
  ibrav = 0, nat = 10, ntyp = 3
/
ATOMIC_SPECIES
Ca 40.08 Ca.upf
Al 26.98 Al.upf
Pd 106.42 Pd.upf
CELL_PARAMETERS angstrom
4.9798 -2.8852 0.0000
4.9798 2.8852 0.0000
-1.6617 0.0000 7.5594
ATOMIC_POSITIONS crystal
Ca 0.0183 0.2813 0.1489
Ca 0.2813 0.0183 0.6489
Ca 0.7187 0.9817 0.3511
Ca 0.9817 0.7187 0.8511
Al 0.3797 0.6203 0.2500
Al 0.6203 0.3797 0.7500
Pd 0.2408 0.5043 0.4968
Pd 0.4957 0.7592 0.0032
Pd 0.5043 0.2408 0.9968
Pd 0.7592 0.4957 0.5032
! Energy of formation from the pure elements, eV per atom: -0.79

=====

Record 12
! Ca5Al2Sb6 | Materials Project | r2SCAN | optimized geometry; values from VASP
&SYSTEM
  ibrav = 0, nat = 26, ntyp = 3
/
ATOMIC_SPECIES
Ca 40.08 Ca.upf
Al 26.98 Al.upf
Sb 121.76 Sb.upf
CELL_PARAMETERS angstrom
12.1161 0.0000 0.0000
0.0000 14.1092 0.0000
0.0000 0.0000 4.4834
ATOMIC_POSITIONS crystal
Ca 0.0000 0.0000 0.0000
Ca 0.0927 0.2478 0.0000
Ca 0.1742 0.5129 0.0000
Ca 0.3258 0.0129 0.0000
Ca 0.4073 0.7478 0.0000
Ca 0.5000 0.5000 0.0000
Ca 0.5927 0.2522 0.0000
Ca 0.6742 0.9871 0.0000
Ca 0.8258 0.4871 0.0000
Ca 0.9073 0.7522 0.0000
Al 0.1684 0.7112 0.5000
Al 0.3316 0.2112 0.5000
Al 0.6684 0.7888 0.5000
Al 0.8316 0.2888 0.5000
Sb 0.0238 0.4005 0.5000
Sb 0.1572 0.0941 0.5000
Sb 0.1605 0.8205 0.0000
Sb 0.3395 0.3205 0.0000
Sb 0.3428 0.5941 0.5000
Sb 0.4762 0.9005 0.5000
Sb 0.5238 0.0995 0.5000
Sb 0.6572 0.4059 0.5000
Sb 0.6605 0.6795 0.0000
Sb 0.8395 0.1795 0.0000
Sb 0.8428 0.9059 0.5000
Sb 0.9762 0.5995 0.5000
! Energy of formation from the pure elements, eV per atom: -0.93

=====

no.,total energy (eV per atom)
1,-8.636
2,-10.130
3,-10.147
4,-9.120
5,-11.328
6,-9.690
7,-9.667
8,-9.703
9,-32.415
10,-12.997
11,-14.131
12,-16.539